(1)
Na4CaP6O18 (PBE-GGA, relaxed); DFT formation energy = -265.2 kJ per mole of atoms; E = -6.76 eV per atom
1.0
6.6402 -4.0565 0.0000
6.6402 4.0565 0.0000
-1.0930 0.0000 14.4275
Na Ca P O
8 2 12 36
Direct
0.0393 0.2851 0.4546
0.2088 0.4591 0.0834
0.2851 0.0393 0.9546
0.4591 0.2088 0.5834
0.5409 0.7912 0.4166
0.7149 0.9607 0.0454
0.7912 0.5409 0.9166
0.9607 0.7149 0.5454
0.1224 0.8776 0.2500
0.8776 0.1224 0.7500
0.1051 0.7210 0.8888
0.1341 0.4109 0.7525
0.2790 0.8949 0.6112
0.3555 0.4583 0.3849
0.4109 0.1341 0.2525
0.4583 0.3555 0.8849
0.5417 0.6445 0.1151
0.5891 0.8659 0.7475
0.6445 0.5417 0.6151
0.7210 0.1051 0.3888
0.8659 0.5891 0.2475
0.8949 0.2790 0.1112
0.0049 0.6875 0.9656
0.0344 0.3184 0.8019
0.0560 0.6347 0.7907
0.0723 0.9222 0.8716
0.0778 0.9277 0.6284
0.1300 0.4070 0.6493
0.2586 0.4213 0.4620
0.3125 0.9951 0.5344
0.3133 0.6610 0.3653
0.3184 0.0344 0.3019
0.3203 0.3604 0.2876
0.3379 0.5896 0.9002
0.3390 0.6867 0.1347
0.3604 0.3203 0.7876
0.3653 0.9440 0.7093
0.4070 0.1300 0.1493
0.4104 0.6621 0.5998
0.4213 0.2586 0.9620
0.5787 0.7414 0.0380
0.5896 0.3379 0.4002
0.5930 0.8700 0.8507
0.6347 0.0560 0.2907
0.6396 0.6797 0.2124
0.6610 0.3133 0.8653
0.6621 0.4104 0.0998
0.6797 0.6396 0.7124
0.6816 0.9656 0.6981
0.6867 0.3390 0.6347
0.6875 0.0049 0.4656
0.7414 0.5787 0.5380
0.8700 0.5930 0.3507
0.9222 0.0723 0.3716
0.9277 0.0778 0.1284
0.9440 0.3653 0.2093
0.9656 0.6816 0.1981
0.9951 0.3125 0.0344


(2)
Rb4Mo21Se24 (PBE-GGA, relaxed); DFT formation energy = -84.3 kJ per mole of atoms; E = -7.08 eV per atom
1.0
4.8757 2.8150 29.4615
-4.8757 2.8150 29.4615
0.0000 -5.6300 29.4615
Rb Mo Se
8 42 48
Direct
0.0328 0.0328 0.0328
0.0870 0.0870 0.0870
0.1570 0.1570 0.1570
0.3930 0.3930 0.3930
0.6070 0.6070 0.6070
0.8430 0.8430 0.8430
0.9130 0.9130 0.9130
0.9672 0.9672 0.9672
0.0543 0.2430 0.3686
0.0978 0.4147 0.2312
0.1067 0.2923 0.4215
0.1491 0.4659 0.2822
0.1578 0.3462 0.4711
0.2312 0.0978 0.4147
0.2430 0.3686 0.0543
0.2822 0.1491 0.4659
0.2923 0.4215 0.1067
0.2943 0.4824 0.6065
0.3364 0.6538 0.4720
0.3462 0.4711 0.1578
0.3462 0.5280 0.6636
0.3686 0.0543 0.2430
0.3935 0.7057 0.5176
0.4147 0.2312 0.0978
0.4215 0.1067 0.2923
0.4659 0.2822 0.1491
0.4711 0.1578 0.3462
0.4720 0.3364 0.6538
0.4824 0.6065 0.2943
0.5176 0.3935 0.7057
0.5280 0.6636 0.3462
0.5289 0.8422 0.6538
0.5341 0.7178 0.8509
0.5785 0.8933 0.7077
0.5853 0.7688 0.9022
0.6065 0.2943 0.4824
0.6314 0.9457 0.7570
0.6538 0.4720 0.3364
0.6538 0.5289 0.8422
0.6636 0.3462 0.5280
0.7057 0.5176 0.3935
0.7077 0.5785 0.8933
0.7178 0.8509 0.5341
0.7570 0.6314 0.9457
0.7688 0.9022 0.5853
0.8422 0.6538 0.5289
0.8509 0.5341 0.7178
0.8933 0.7077 0.5785
0.9022 0.5853 0.7688
0.9457 0.7570 0.6314
0.0187 0.3962 0.7646
0.0260 0.6663 0.4098
0.0340 0.6513 0.2842
0.0653 0.4482 0.8148
0.0775 0.7182 0.4612
0.1630 0.5179 0.7791
0.1734 0.7913 0.4252
0.1852 0.9347 0.5518
0.1991 0.1991 0.1991
0.2087 0.5748 0.8266
0.2209 0.8370 0.4821
0.2354 0.9813 0.6038
0.2818 0.5388 0.9225
0.2842 0.0340 0.6513
0.3337 0.5902 0.9740
0.3480 0.3480 0.3480
0.3487 0.7158 0.9660
0.3962 0.7646 0.0187
0.4098 0.0260 0.6663
0.4252 0.1734 0.7913
0.4381 0.4381 0.4381
0.4482 0.8148 0.0653
0.4612 0.0775 0.7182
0.4821 0.2209 0.8370
0.5179 0.7791 0.1630
0.5388 0.9225 0.2818
0.5518 0.1852 0.9347
0.5619 0.5619 0.5619
0.5748 0.8266 0.2087
0.5902 0.9740 0.3337
0.6038 0.2354 0.9813
0.6513 0.2842 0.0340
0.6520 0.6520 0.6520
0.6663 0.4098 0.0260
0.7158 0.9660 0.3487
0.7182 0.4612 0.0775
0.7646 0.0187 0.3962
0.7791 0.1630 0.5179
0.7913 0.4252 0.1734
0.8009 0.8009 0.8009
0.8148 0.0653 0.4482
0.8266 0.2087 0.5748
0.8370 0.4821 0.2209
0.9225 0.2818 0.5388
0.9347 0.5518 0.1852
0.9660 0.3487 0.7158
0.9740 0.3337 0.5902
0.9813 0.6038 0.2354


(3)
CaInBr3 (PBE-GGA, relaxed); DFT formation energy = -176.2 kJ per mole of atoms; E = -3.44 eV per atom
1.0
2.1509 -7.1946 0.0000
2.1509 7.1946 0.0000
0.0000 0.0000 10.9613
Ca In Br
2 2 6
Direct
0.0000 0.0000 0.0000
0.0000 0.0000 0.5000
0.2637 0.7363 0.7500
0.7363 0.2637 0.2500
0.0694 0.9306 0.2500
0.3668 0.6332 0.0471
0.3668 0.6332 0.4529
0.6332 0.3668 0.5471
0.6332 0.3668 0.9529
0.9306 0.0694 0.7500